(1)
The following is a GGA+U calculation of a relaxed structure of NiPH15O11, from Materials Project.

Values from the calculation:
Size of the total moment = 4.00 μB per cell
Total DFT energy (no corrections) = -5.2612 eV per atom
Energy relative to the elements = -1.46 eV per atom
Space group = Pmn2_1

Unit cell a=7.1244 b=6.1254 c=11.3131 alpha=90.00 beta=90.00 gamma=90.00
Positions (direct):
Ni (0.0000, 0.1174, 0.0000)
Ni (0.5000, 0.8826, 0.5000)
P (0.0000, 0.5031, 0.3663)
P (0.5000, 0.4969, 0.8663)
H (0.0000, 0.3667, 0.5514)
H (0.0000, 0.6719, 0.0379)
H (0.0000, 0.7811, 0.1682)
H (0.1103, 0.0544, 0.6243)
H (0.1127, 0.4919, 0.8810)
H (0.1852, 0.8851, 0.3624)
H (0.1922, 0.6828, 0.5733)
H (0.1947, 0.2849, 0.1933)
H (0.2490, 0.1323, 0.3785)
H (0.2510, 0.8677, 0.8785)
H (0.3053, 0.7151, 0.6933)
H (0.3078, 0.3172, 0.0733)
H (0.3148, 0.1149, 0.8624)
H (0.3873, 0.5081, 0.3810)
H (0.3897, 0.9456, 0.1243)
H (0.5000, 0.2189, 0.6682)
H (0.5000, 0.3281, 0.5379)
H (0.5000, 0.6333, 0.0514)
H (0.6103, 0.9456, 0.1243)
H (0.6127, 0.5081, 0.3810)
H (0.6852, 0.1149, 0.8624)
H (0.6922, 0.3172, 0.0733)
H (0.6947, 0.7151, 0.6933)
H (0.7490, 0.8677, 0.8785)
H (0.7510, 0.1323, 0.3785)
H (0.8053, 0.2849, 0.1933)
H (0.8078, 0.6828, 0.5733)
H (0.8148, 0.8851, 0.3624)
H (0.8873, 0.4919, 0.8810)
H (0.8897, 0.0544, 0.6243)
O (0.0000, 0.1492, 0.6153)
O (0.0000, 0.4477, 0.9280)
O (0.0000, 0.5191, 0.5103)
O (0.0000, 0.7399, 0.3226)
O (0.0000, 0.8117, 0.0820)
O (0.1803, 0.3822, 0.3299)
O (0.2068, 0.0205, 0.8869)
O (0.2179, 0.2190, 0.1129)
O (0.2821, 0.7810, 0.6129)
O (0.2932, 0.9795, 0.3869)
O (0.3197, 0.6178, 0.8299)
O (0.5000, 0.1883, 0.5820)
O (0.5000, 0.2601, 0.8226)
O (0.5000, 0.4809, 0.0103)
O (0.5000, 0.5523, 0.4280)
O (0.5000, 0.8508, 0.1153)
O (0.6803, 0.6178, 0.8299)
O (0.7068, 0.9795, 0.3869)
O (0.7179, 0.7810, 0.6129)
O (0.7821, 0.2190, 0.1129)
O (0.7932, 0.0205, 0.8869)
O (0.8197, 0.3822, 0.3299)

(2)
The following is a GGA+U calculation of a relaxed structure of LiCrC2O6, from Materials Project.

Values from the calculation:
Size of the total moment = 0.00 μB per cell
Total DFT energy (no corrections) = -7.3803 eV per atom
Energy above the lowest structure with this stoichiometry = 72 meV/atom
Energy relative to the elements = -2.02 eV per atom
Space group = P2_1

Unit cell a=5.0240 b=7.8324 c=6.4394 alpha=90.00 beta=111.02 gamma=90.00
Positions (direct):
Li (0.1469, 0.0000, 0.1329)
Li (0.8531, 0.5000, 0.8671)
Cr (0.4960, 0.0485, 0.7403)
Cr (0.5040, 0.5485, 0.2597)
C (0.3627, 0.3076, 0.8961)
C (0.3741, 0.2873, 0.3864)
C (0.6259, 0.7873, 0.6136)
C (0.6373, 0.8076, 0.1039)
O (0.2136, 0.4208, 0.3537)
O (0.2211, 0.1656, 0.8722)
O (0.2738, 0.4480, 0.9541)
O (0.2921, 0.1382, 0.4301)
O (0.3807, 0.8094, 0.6374)
O (0.4033, 0.7995, 0.1481)
O (0.5967, 0.2995, 0.8519)
O (0.6193, 0.3094, 0.3626)
O (0.7079, 0.6382, 0.5699)
O (0.7262, 0.9480, 0.0459)
O (0.7789, 0.6656, 0.1278)
O (0.7864, 0.9208, 0.6463)

(3)
The following is a GGA+U calculation of a relaxed structure of CaV4O8, from Materials Project.

Values from the calculation:
Size of the total moment = 6.00 μB per cell
Total DFT energy (no corrections) = -7.6591 eV per atom
Energy above the lowest structure with this stoichiometry = 0 meV/atom
Energy relative to the elements = -2.61 eV per atom
Space group = Cm

Unit cell a=7.2536 b=7.2536 c=9.6640 alpha=131.02 beta=131.02 gamma=24.72
Positions (direct):
Ca (0.0000, 0.0000, 0.0000)
V (0.0378, 0.0378, 0.7065)
V (0.2382, 0.2382, 0.4068)
V (0.5423, 0.5423, 0.3890)
V (0.7447, 0.7447, 0.0731)
O (0.1729, 0.1729, 0.5171)
O (0.2248, 0.2248, 0.9276)
O (0.2316, 0.2316, 0.1986)
O (0.5342, 0.5342, 0.5776)
O (0.5482, 0.5482, 0.8782)
O (0.5969, 0.5969, 0.2384)
O (0.8475, 0.8475, 0.5383)
O (0.9175, 0.9175, 0.2297)

(4)
The following is a GGA+U calculation of a relaxed structure of NaMgMoO3, from Materials Project.

Values from the calculation:
Size of the total moment = 6.00 μB per cell
Total DFT energy (no corrections) = -5.6647 eV per atom
Energy above the lowest structure with this stoichiometry = 0 meV/atom
Energy relative to the elements = -1.77 eV per atom
Space group = Cm

Unit cell a=6.5823 b=5.7430 c=4.3845 alpha=90.00 beta=100.86 gamma=90.00
Positions (direct):
Na (0.0000, 0.0000, 0.0000)
Na (0.5000, 0.5000, 0.0000)
Mg (0.1526, 0.5000, 0.3546)
Mg (0.6526, 0.0000, 0.3546)
Mo (0.3388, 0.0000, 0.6647)
Mo (0.8388, 0.5000, 0.6647)
O (0.1015, 0.2567, 0.6444)
O (0.1015, 0.7433, 0.6444)
O (0.3594, 0.0000, 0.1577)
O (0.6015, 0.2433, 0.6444)
O (0.6015, 0.7567, 0.6444)
O (0.8594, 0.5000, 0.1577)

(5)
The following is a GGA+U calculation of a relaxed structure of Ca2YNiO5, from Materials Project.

Values from the calculation:
Size of the total moment = 2.00 μB per cell
Total DFT energy (no corrections) = -6.6260 eV per atom
Energy relative to the elements = -2.73 eV per atom
Space group = Ima2

Unit cell a=9.1192 b=9.1192 c=9.1192 alpha=49.05 beta=144.46 gamma=147.32
Positions (direct):
Ca (0.0262, 0.0967, 0.1229)
Ca (0.0262, 0.4033, 0.4295)
Ca (0.9738, 0.5967, 0.5705)
Ca (0.9738, 0.9033, 0.8771)
Y (0.4882, 0.7760, 0.2123)
Y (0.5637, 0.2760, 0.7877)
Ni (0.4925, 0.4925, 0.0000)
Ni (0.4925, 0.9925, 0.5000)
O (0.0433, 0.7243, 0.8191)
O (0.4200, 0.1093, 0.5634)
O (0.4200, 0.3565, 0.8106)
O (0.4969, 0.2291, 0.2369)
O (0.4969, 0.7600, 0.7678)
O (0.5459, 0.6093, 0.1894)
O (0.5459, 0.8565, 0.4366)
O (0.9052, 0.2243, 0.1809)
O (0.9922, 0.2600, 0.7631)
O (0.9922, 0.7291, 0.2322)

(6)
The following is a GGA+U calculation of a relaxed structure of Mn3P6WO24, from Materials Project.

Values from the calculation:
Size of the total moment = 9.00 μB per cell
Total DFT energy (no corrections) = -7.2200 eV per atom
Energy relative to the elements = -2.35 eV per atom
Space group = R3

Unit cell a=8.7239 b=8.7239 c=8.7239 alpha=58.42 beta=58.42 gamma=58.42
Positions (direct):
Mn (0.0000, 0.0000, 0.0000)
Mn (0.2149, 0.2149, 0.2149)
Mn (0.5013, 0.5013, 0.5013)
P (0.1191, 0.8245, 0.3809)
P (0.3140, 0.6058, 0.8940)
P (0.3809, 0.1191, 0.8245)
P (0.6058, 0.8940, 0.3140)
P (0.8245, 0.3809, 0.1191)
P (0.8940, 0.3140, 0.6058)
W (0.7160, 0.7160, 0.7160)
O (0.0006, 0.3695, 0.1289)
O (0.0764, 0.3017, 0.4288)
O (0.0856, 0.8457, 0.2140)
O (0.1289, 0.0006, 0.3695)
O (0.1371, 0.7853, 0.9141)
O (0.2140, 0.0856, 0.8457)
O (0.2866, 0.6380, 0.4135)
O (0.3017, 0.4288, 0.0764)
O (0.3419, 0.5841, 0.7164)
O (0.3695, 0.1289, 0.0006)
O (0.4135, 0.2866, 0.6380)
O (0.4288, 0.0764, 0.3017)
O (0.4949, 0.6361, 0.8588)
O (0.5666, 0.9355, 0.7949)
O (0.5841, 0.7164, 0.3419)
O (0.6360, 0.8588, 0.4949)
O (0.6380, 0.4135, 0.2866)
O (0.7164, 0.3419, 0.5841)
O (0.7853, 0.9141, 0.1371)
O (0.7949, 0.5666, 0.9355)
O (0.8457, 0.2140, 0.0856)
O (0.8588, 0.4949, 0.6360)
O (0.9141, 0.1371, 0.7853)
O (0.9355, 0.7949, 0.5666)

- total DFT energy (no corrections) of number 4 (NaMgMoO3)?
  -5.6647 eV per atom

- Which of these has the lowest size of the total moment?
  LiCrC2O6

- Which of these has the lowest energy relative to the elements?
  Ca2YNiO5

- Which of these has the lowest energy relative to the elements?
  Ca2YNiO5